[1]
Y3Mg: relaxed, PBE-GGA.

Output
- Energy of formation from the pure elements: -7 meV per atom
- Magnetization: 0.0000 μB/atom

Lattice parameters (Å, degrees): 3.6228 11.2943 5.9322 90.00 90.00 90.00
Space group Imm2 (No. 44)
One atom of each set of equivalent atoms:
1 Y 0.0000 0.0000 0.0000
2 Y 0.0000 0.2434 0.3542
3 Mg 0.0000 0.5000 0.0162

[2]
LiAlH2: relaxed, PBE-GGA.

Output
- Energy of formation from the pure elements: 91 meV per atom
- Magnetization: 0.0000 μB/atom
- MP2020-corrected energy: -3.02 eV/atom

Lattice parameters (Å, degrees): 6.7184 6.7184 7.7114 90.00 90.00 90.00
Space group I4_1/a (No. 88, origin choice 2)
One atom of each set of equivalent atoms:
1 Li 0.0000 0.0000 0.0000
2 Al 0.0000 0.0000 0.5000
3 H 0.1309 0.4836 0.7038

[3]
ErTc2: relaxed, PBE-GGA.

Output
- Energy of formation from the pure elements: -227 meV per atom

Lattice parameters (Å, degrees): 5.3534 5.3534 8.8674 90.00 90.00 120.00
Space group P6_3/mmc (No. 194)
One atom of each set of equivalent atoms:
1 Er 0.3333 0.6667 0.0637
2 Tc 0.0000 0.0000 0.0000
3 Tc 0.1716 0.3431 0.7500

[4]
U4Ga20Ni11: relaxed, PBE-GGA.

Output
- Energy of formation from the pure elements: -356 meV per atom
- Magnetization: 0.0000 μB/atom
- Energy above the lowest structure with this stoichiometry: 0 meV per atom

Lattice parameters (Å, degrees): 4.1224 10.5714 12.8807 80.94 80.83 78.80
Space group P1 (No. 1)
One atom of each set of equivalent atoms:
1 U 0.0000 0.0000 0.0000
2 U 0.1093 0.2735 0.5078
3 U 0.6577 0.5385 0.1528
4 U 0.7682 0.8102 0.6614
5 Ga 0.0794 0.5138 0.3282
6 Ga 0.1374 0.7000 0.0327
7 Ga 0.1812 0.8092 0.8308
8 Ga 0.2585 0.9666 0.5254
9 Ga 0.2754 0.4350 0.0206
10 Ga 0.2827 0.1125 0.3257
11 Ga 0.3439 0.6095 0.7081
12 Ga 0.4229 0.2021 0.9521
13 Ga 0.4826 0.7022 0.3343
14 Ga 0.4934 0.3779 0.6386
15 Ga 0.5124 0.8461 0.1373
16 Ga 0.5809 0.0043 0.8294
17 Ga 0.6264 0.1124 0.6285
18 Ga 0.6840 0.2987 0.3331
19 Ga 0.7699 0.5773 0.8791
20 Ga 0.8141 0.2419 0.1246
21 Ga 0.8783 0.8289 0.4189
22 Ga 0.8860 0.9870 0.2408
23 Ga 0.9497 0.5727 0.5337
24 Ga 0.9854 0.2358 0.7814
25 Ni 0.0196 0.7453 0.2239
26 Ni 0.1246 0.0261 0.7167
27 Ni 0.2232 0.3325 0.2169
28 Ni 0.3805 0.0869 0.1388
29 Ni 0.3812 0.7272 0.5208
30 Ni 0.3830 0.4054 0.8295
31 Ni 0.5390 0.4826 0.4434
32 Ni 0.6359 0.7884 0.9435
33 Ni 0.7515 0.0669 0.4368
34 Ni 0.8588 0.3429 0.9413
35 Ni 0.9073 0.4703 0.7179

[5]
Ba6CaEu2Cu6Hg3O21: relaxed, PBE-GGA.

Output
- Energy of formation from the pure elements: -1922 meV per atom
- Magnetization: 0.3056 μB/atom
- MP2020-corrected energy: -6.11 eV/atom

Lattice parameters (Å, degrees): 16.3693 5.4562 13.9471 90.00 113.07 90.00
Space group C2/m (No. 12)
One atom of each set of equivalent atoms:
1 Ba 0.0674 0.0000 0.2028
2 Ba 0.0983 0.5000 0.7950
3 Ba 0.2344 0.5000 0.2026
4 Ca 0.0000 0.5000 0.5000
5 Eu 0.1655 0.0000 0.5000
6 Cu 0.0443 0.0000 0.6329
7 Cu 0.1217 0.5000 0.3675
8 Cu 0.2099 0.5000 0.6325
9 Hg 0.0000 0.5000 0.0000
10 Hg 0.1665 0.0000 0.9997
11 O 0.0000 0.0000 0.0000
12 O 0.0443 0.2485 0.3812
13 O 0.0545 0.5000 0.1634
14 O 0.1125 0.0000 0.8371
15 O 0.1234 0.2482 0.6188
16 O 0.1655 0.5000 0.9992
17 O 0.2109 0.2499 0.3825
18 O 0.2214 0.0000 0.1638

[6]
Na6Ca4Ga4SiS11O48: relaxed, PBE-GGA.

Output
- Energy of formation from the pure elements: -2266 meV per atom
- Magnetization: 0.0000 μB/atom
- MP2020-corrected energy: -6.54 eV/atom

Lattice parameters (Å, degrees): 8.9219 15.4040 22.9841 89.96 89.90 89.98
Space group P1 (No. 1)
One atom of each set of equivalent atoms:
1 Na 0.0000 0.0000 0.0000
2 Na 0.0007 0.6663 0.6681
3 Na 0.0019 0.0018 0.5041
4 Na 0.0130 0.3377 0.8342
5 Na 0.0315 0.6661 0.1698
6 Na 0.1743 0.1869 0.2569
7 Na 0.3644 0.0058 0.7472
8 Na 0.4751 0.1753 0.6677
9 Na 0.4784 0.8241 0.3382
10 Na 0.4998 0.5006 0.5038
11 Na 0.5030 0.5012 0.0004
12 Na 0.5090 0.8250 0.8396
13 Na 0.5189 0.1672 0.1631
14 Na 0.6398 0.0030 0.2495
15 Na 0.6755 0.6850 0.2564
16 Na 0.6959 0.3095 0.2525
17 Na 0.8236 0.1855 0.7546
18 Na 0.9988 0.3329 0.3389
19 Ca 0.0003 0.6690 0.0129
20 Ca 0.0023 0.3376 0.1870
21 Ca 0.0028 0.6695 0.8244
22 Ca 0.4866 0.1715 0.8226
23 Ca 0.4878 0.8287 0.1896
24 Ca 0.5009 0.1693 0.0143
25 Ca 0.5028 0.5050 0.6490
26 Ca 0.5037 0.1696 0.5189
27 Ca 0.5042 0.8231 0.6835
28 Ca 0.5049 0.8365 0.4856
29 Ca 0.5062 0.1673 0.3203
30 Ca 0.9971 0.3310 0.4839
31 Ga 0.0013 0.6678 0.5175
32 Ga 0.0034 0.0126 0.8492
33 Ga 0.0093 0.0031 0.6525
34 Ga 0.0178 0.3334 0.6887
35 Ga 0.0244 0.6675 0.3190
36 Ga 0.4767 0.5125 0.1500
37 Ga 0.4979 0.4981 0.8497
38 Ga 0.5017 0.5070 0.3542
39 Ga 0.5016 0.8346 0.9883
40 Ga 0.9941 0.0023 0.1481
41 Ga 0.9962 0.0064 0.3525
42 Ga 0.9975 0.3361 0.9885
43 Si 0.1424 0.1485 0.7484
44 Si 0.3492 0.6414 0.2571
45 Si 0.8590 0.1417 0.2501
46 S 0.1349 0.8148 0.4163
47 S 0.1380 0.8622 0.7525
48 S 0.1409 0.1827 0.0856
49 S 0.1524 0.5280 0.4180
50 S 0.1598 0.4807 0.0836
51 S 0.1887 0.1593 0.4136
52 S 0.1997 0.8433 0.0846
53 S 0.2063 0.4966 0.7529
54 S 0.2774 0.0009 0.2525
55 S 0.2928 0.3341 0.5881
56 S 0.3244 0.6682 0.9192
57 S 0.3311 0.6820 0.5791
58 S 0.3370 0.3309 0.9198
59 S 0.3370 0.9862 0.5901
60 S 0.3415 0.0055 0.9182
61 S 0.3649 0.3641 0.2517
62 S 0.6407 0.6826 0.0859
63 S 0.6430 0.3332 0.4126
64 S 0.6437 0.6462 0.7583
65 S 0.6577 0.3580 0.7533
66 S 0.6585 0.9785 0.0868
67 S 0.6683 0.0130 0.4139
68 S 0.7000 0.3436 0.0870
69 S 0.7206 0.9984 0.7528
70 S 0.7262 0.6627 0.4150
71 S 0.7816 0.5057 0.2547
72 S 0.8203 0.8345 0.5849
73 S 0.8229 0.1695 0.9187
74 S 0.8392 0.5064 0.9195
75 S 0.8395 0.8310 0.9192
76 S 0.8569 0.1828 0.5936
77 S 0.8664 0.4874 0.5857
78 S 0.8696 0.8558 0.2544
79 O 0.0578 0.1093 0.8073
80 O 0.0596 0.2448 0.7425
81 O 0.0634 0.9017 0.4109
82 O 0.0660 0.0951 0.0864
83 O 0.0709 0.7727 0.4692
84 O 0.0743 0.2313 0.0349
85 O 0.0745 0.7740 0.7567
86 O 0.0780 0.9011 0.6982
87 O 0.0842 0.2341 0.4167
88 O 0.0860 0.4409 0.4212
89 O 0.0870 0.5694 0.3650
90 O 0.0993 0.5691 0.0772
91 O 0.0988 0.7681 0.0778
92 O 0.1007 0.0754 0.4133
93 O 0.1022 0.7627 0.3628
94 O 0.1021 0.9155 0.8051
95 O 0.1026 0.4432 0.1374
96 O 0.1072 0.5729 0.7602
97 O 0.1075 0.9261 0.0888
98 O 0.1104 0.0834 0.6943
99 O 0.1114 0.4153 0.7496
100 O 0.1152 0.2281 0.1409
101 O 0.1198 0.5814 0.4708
102 O 0.1236 0.4254 0.0317
103 O 0.1634 0.6759 0.5732
104 O 0.1643 0.6514 0.2616
105 O 0.1680 0.9915 0.5914
106 O 0.1711 0.3416 0.9296
107 O 0.1752 0.9945 0.9108
108 O 0.1857 0.0049 0.1990
109 O 0.1883 0.9888 0.3065
110 O 0.1952 0.3290 0.6417
111 O 0.2000 0.3545 0.2497
112 O 0.2032 0.3389 0.5349
113 O 0.2316 0.6514 0.9709
114 O 0.2335 0.6871 0.8674
115 O 0.2735 0.1686 0.3584
116 O 0.2862 0.8318 0.1376
117 O 0.2879 0.1543 0.4641
118 O 0.2945 0.5070 0.7009
119 O 0.2991 0.8233 0.4197
120 O 0.2992 0.8543 0.0321
121 O 0.3023 0.4843 0.8067
122 O 0.3040 0.1714 0.0783
123 O 0.3050 0.8587 0.7502
124 O 0.3191 0.5216 0.4143
125 O 0.3234 0.1532 0.7529
126 O 0.3299 0.4839 0.0859
127 O 0.3552 0.7300 0.6340
128 O 0.3556 0.2774 0.8677
129 O 0.3634 0.0844 0.2539
130 O 0.3673 0.0632 0.9681
131 O 0.3739 0.5883 0.1954
132 O 0.3738 0.9342 0.5382
133 O 0.3860 0.2545 0.5887
134 O 0.3892 0.4110 0.5902
135 O 0.3891 0.9297 0.2516
136 O 0.3943 0.9453 0.6441
137 O 0.3951 0.5939 0.5816
138 O 0.3960 0.7269 0.5288
139 O 0.4008 0.0745 0.5860
140 O 0.4028 0.4104 0.3057
141 O 0.4050 0.4199 0.9103
142 O 0.4100 0.0396 0.8642
143 O 0.4105 0.2936 0.9711
144 O 0.4106 0.9175 0.9291
145 O 0.4227 0.5904 0.9096
146 O 0.4240 0.7466 0.9292
147 O 0.4303 0.4049 0.1983
148 O 0.4309 0.2745 0.2524
149 O 0.4313 0.5947 0.3121
150 O 0.4339 0.7349 0.2571
151 O 0.5631 0.5951 0.0881
152 O 0.5639 0.4206 0.4100
153 O 0.5701 0.7329 0.7603
154 O 0.5721 0.7296 0.0349
155 O 0.5807 0.2901 0.4642
156 O 0.5845 0.5970 0.8103
157 O 0.5923 0.3946 0.7013
158 O 0.5970 0.0666 0.0797
159 O 0.6004 0.9258 0.4178
160 O 0.6019 0.2670 0.0795
161 O 0.6029 0.2674 0.7604
162 O 0.6033 0.9419 0.1419
163 O 0.6091 0.4253 0.0896
164 O 0.6098 0.6028 0.7040
165 O 0.6138 0.0519 0.3589
166 O 0.6145 0.9246 0.7497
167 O 0.6149 0.2843 0.3584
168 O 0.6168 0.7290 0.1408
169 O 0.6182 0.9225 0.0355
170 O 0.6205 0.4092 0.8073
171 O 0.6294 0.7395 0.4180
172 O 0.6321 0.0808 0.7565
173 O 0.6332 0.0675 0.4647
174 O 0.6346 0.5819 0.4124
175 O 0.6714 0.8397 0.9292
176 O 0.6734 0.4946 0.9106
177 O 0.6761 0.1526 0.2492
178 O 0.6884 0.5184 0.2016
179 O 0.6887 0.4882 0.3072
180 O 0.6915 0.1753 0.5916
181 O 0.7019 0.8524 0.2509
182 O 0.7032 0.5006 0.5903
183 O 0.7236 0.1556 0.9689
184 O 0.7280 0.8507 0.5332
185 O 0.7302 0.8173 0.6375
186 O 0.7377 0.1844 0.8647
187 O 0.7829 0.3316 0.1418
188 O 0.8026 0.6700 0.0776
189 O 0.8052 0.3525 0.0357
190 O 0.8064 0.3468 0.4167
191 O 0.8084 0.6555 0.7625
192 O 0.8112 0.9874 0.8067
193 O 0.8137 0.0051 0.6995
194 O 0.8204 0.6539 0.4687
195 O 0.8212 0.6713 0.3610
196 O 0.8264 0.3541 0.7495
197 O 0.8280 0.9815 0.0872
198 O 0.8362 0.0043 0.4124
199 O 0.8581 0.7756 0.8676
200 O 0.8596 0.5611 0.9714
201 O 0.8720 0.5871 0.2611
202 O 0.8807 0.4291 0.2504
203 O 0.8917 0.0791 0.1929
204 O 0.8939 0.2383 0.6455
205 O 0.8956 0.4373 0.5330
206 O 0.9031 0.9091 0.3062
207 O 0.9044 0.9195 0.9100
208 O 0.9080 0.4174 0.9293
209 O 0.9107 0.7927 0.9710
210 O 0.9124 0.5435 0.8681
211 O 0.9168 0.7549 0.5757
212 O 0.9182 0.2198 0.5398
213 O 0.9187 0.9126 0.5936
214 O 0.9201 0.0898 0.9138
215 O 0.9221 0.0930 0.5985
216 O 0.9226 0.2474 0.9287
217 O 0.9241 0.7644 0.2609
218 O 0.9298 0.4447 0.6392
219 O 0.9316 0.0957 0.3076
220 O 0.9327 0.2391 0.2518
221 O 0.9347 0.8912 0.1998
222 O 0.9394 0.5763 0.5808